Record 1
# CoSbS (PBE, relaxed)
data_CoSbS
_chemical_formula_sum 'Co8 Sb8 S8'
_space_group_name_H-M_alt 'P b c a'
_space_group_IT_number 61
_cell_length_a 5.860
_cell_length_b 5.936
_cell_length_c 11.698
_cell_angle_alpha 90.00
_cell_angle_beta 90.00
_cell_angle_gamma 90.00
loop_
_space_group_symop_operation_xyz
'x,y,z'
'-x,-y,-z'
'-x+1/2,-y,z+1/2'
'x+1/2,y,-z+1/2'
'x+1/2,-y+1/2,-z'
'-x+1/2,y+1/2,z'
'-x,y+1/2,-z+1/2'
'x,-y+1/2,z+1/2'
loop_
_atom_site_label
_atom_site_type_symbol
_atom_site_fract_x
_atom_site_fract_y
_atom_site_fract_z
Co1 Co 0.017 0.178 0.141
Sb1 Sb 0.131 0.193 0.930
S1 S 0.127 0.552 0.186
# Formation enthalpy at 0 K, eV/atom: -0.490
# Final energy, eV/cell: -130.7

Record 2
# Er6Ti4Al43 (PBE, relaxed)
data_Er6Ti4Al43
_chemical_formula_sum 'Er12 Ti8 Al86'
_space_group_name_H-M_alt 'P 63/m c m'
_space_group_IT_number 193
_space_group_name_Hall '-P 6c 2'
_cell_length_a 11.0801
_cell_length_b 11.0801
_cell_length_c 17.7298
_cell_angle_alpha 90.00
_cell_angle_beta 90.00
_cell_angle_gamma 120.00
loop_
_atom_site_label
_atom_site_type_symbol
_atom_site_fract_x
_atom_site_fract_y
_atom_site_fract_z
Er1 Er 0.0000 0.4689 0.0963
Ti1 Ti 0.0000 0.0000 0.0000
Ti2 Ti 0.0000 0.2718 0.2500
Al1 Al 0.0000 0.1468 0.7500
Al2 Al 0.0000 0.1583 0.1154
Al3 Al 0.0000 0.2546 0.5295
Al4 Al 0.1487 0.5518 0.2500
Al5 Al 0.1585 0.3939 0.6642
Al6 Al 0.2474 0.4948 0.0000
Al7 Al 0.3333 0.6667 0.1261
# Formation enthalpy at 0 K, eV/atom: -0.334
# Final energy, eV/cell: -475.5

Record 3
# La4As3 (PBE, relaxed)
data_La4As3
_chemical_formula_sum 'La16 As12'
_space_group_name_H-M_alt 'I -4 3 d'
_space_group_IT_number 220
_space_group_name_Hall 'I -4bd 2c 3'
_cell_length_a 9.220
_cell_length_b 9.220
_cell_length_c 9.220
_cell_angle_alpha 90.00
_cell_angle_beta 90.00
_cell_angle_gamma 90.00
loop_
_atom_site_label
_atom_site_type_symbol
_atom_site_fract_x
_atom_site_fract_y
_atom_site_fract_z
La1 La 0.069 0.431 0.569
As1 As 0.000 0.250 0.875
# Formation enthalpy at 0 K, eV/atom: -1.330
# Final energy, eV/cell: -172.1

Record 4
# RbSb3S5O (PBE, relaxed)
data_RbSb3S5O
_chemical_formula_sum 'Rb2 Sb6 S10 O2'
_space_group_name_H-M_alt 'P -1'
_space_group_IT_number 2
_cell_length_a 7.767
_cell_length_b 9.130
_cell_length_c 9.541
_cell_angle_alpha 98.86
_cell_angle_beta 96.21
_cell_angle_gamma 93.02
loop_
_space_group_symop_operation_xyz
'x,y,z'
'-x,-y,-z'
loop_
_atom_site_label
_atom_site_type_symbol
_atom_site_fract_x
_atom_site_fract_y
_atom_site_fract_z
Rb1 Rb 0.154 0.115 0.157
Sb1 Sb 0.272 0.087 0.626
Sb2 Sb 0.330 0.510 0.840
Sb3 Sb 0.352 0.658 0.401
S1 S 0.160 0.179 0.833
S2 S 0.333 0.363 0.544
S3 S 0.348 0.487 0.162
S4 S 0.352 0.785 0.864
S5 S 0.406 0.893 0.309
O1 O 0.196 0.839 0.941
# Formation enthalpy at 0 K, eV/atom: -0.436
# Final energy, eV/cell: -85.3

Record 5
# SbS2NCl8 (PBE, relaxed)
data_SbS2NCl8
_chemical_formula_sum 'Sb4 S8 N4 Cl32'
_space_group_name_H-M_alt 'P 1 21/c 1'
_space_group_IT_number 14
_cell_length_a 7.795
_cell_length_b 11.716
_cell_length_c 16.632
_cell_angle_alpha 90.00
_cell_angle_beta 98.38
_cell_angle_gamma 90.00
loop_
_space_group_symop_operation_xyz
'x,y,z'
'-x,-y,-z'
'-x,y+1/2,-z+1/2'
'x,-y+1/2,z+1/2'
loop_
_atom_site_label
_atom_site_type_symbol
_atom_site_fract_x
_atom_site_fract_y
_atom_site_fract_z
Sb1 Sb 0.246 0.200 0.347
S1 S 0.200 0.721 0.518
S2 S 0.283 0.716 0.853
N1 N 0.235 0.719 0.939
Cl1 Cl 0.024 0.154 0.822
Cl2 Cl 0.035 0.066 0.382
Cl3 Cl 0.188 0.142 0.207
Cl4 Cl 0.229 0.550 0.509
Cl5 Cl 0.302 0.238 0.988
Cl6 Cl 0.326 0.626 0.313
Cl7 Cl 0.459 0.163 0.813
Cl8 Cl 0.472 0.059 0.375
# Formation enthalpy at 0 K, eV/atom: -0.776
# Final energy, eV/cell: -159.7

Record 6
# LiAgF4 (PBE, relaxed)
data_LiAgF4
_chemical_formula_sum 'Li4 Ag4 F16'
_space_group_name_H-M_alt 'P 1 21/m 1'
_space_group_IT_number 11
_cell_length_a 5.490
_cell_length_b 8.132
_cell_length_c 7.754
_cell_angle_alpha 90.00
_cell_angle_beta 108.29
_cell_angle_gamma 90.00
loop_
_space_group_symop_operation_xyz
'x,y,z'
'-x,-y,-z'
'-x,y+1/2,-z'
'x,-y+1/2,z'
loop_
_atom_site_label
_atom_site_type_symbol
_atom_site_fract_x
_atom_site_fract_y
_atom_site_fract_z
Li1 Li 0.025 0.250 0.448
Li2 Li 0.421 0.250 0.858
Ag1 Ag 0.000 0.000 0.000
Ag2 Ag 0.500 0.000 0.500
F1 F 0.106 0.250 0.925
F2 F 0.183 0.072 0.279
F3 F 0.279 0.093 0.637
F4 F 0.309 0.750 0.508
F5 F 0.320 0.592 0.988
# Formation enthalpy at 0 K, eV/atom: -1.891
# Final energy, eV/cell: -87.6